1.
# Mg14VCoO16, optimized geometry, DFT PBE+U
data_Mg14VCoO16
_chemical_formula_sum 'Mg14 V1 Co1 O16'
_cell_length_a 8.5634
_cell_length_b 8.5634
_cell_length_c 4.2420
_cell_angle_alpha 90.00
_cell_angle_beta 90.00
_cell_angle_gamma 90.00
_symmetry_space_group_name_H-M 'P 4/m m m'
_symmetry_Int_Tables_number 123
_symmetry_space_group_name_Hall '-P 4 2'
loop_
_atom_site_label
_atom_site_type_symbol
_atom_site_fract_x
_atom_site_fract_y
_atom_site_fract_z
Mg1 Mg 0.0000 0.2488 0.0000
Mg2 Mg 0.0000 0.5000 0.5000
Mg3 Mg 0.2474 0.2474 0.5000
Mg4 Mg 0.2470 0.5000 0.0000
V1 V 0.5000 0.5000 0.5000
Co1 Co 0.0000 0.0000 0.5000
O1 O 0.0000 0.0000 0.0000
O2 O 0.0000 0.2572 0.5000
O3 O 0.0000 0.5000 0.0000
O4 O 0.2488 0.5000 0.5000
O5 O 0.2500 0.2500 0.0000
O6 O 0.5000 0.5000 0.0000
# Crystal system: tetragonal
# E_tot in eV per formula unit: -194.81
# Magnetization in μB/atom: 0.169
# Energy of formation from the pure elements in eV/atom: -2.855

***

2.
# Li9Mn2Co5O16, optimized geometry, DFT PBE+U
data_Li9Mn2Co5O16
_chemical_formula_sum 'Li18 Mn4 Co10 O32'
_cell_length_a 9.8432
_cell_length_b 2.8759
_cell_length_c 20.7350
_cell_angle_alpha 90.00
_cell_angle_beta 98.57
_cell_angle_gamma 90.00
_symmetry_space_group_name_H-M 'C 1 m 1'
_symmetry_Int_Tables_number 8
loop_
_symmetry_equiv_pos_as_xyz
'x,y,z'
'x,-y,z'
'x+1/2,y+1/2,z'
'x+1/2,-y+1/2,z'
loop_
_atom_site_label
_atom_site_type_symbol
_atom_site_fract_x
_atom_site_fract_y
_atom_site_fract_z
Li1 Li 0.0000 0.0000 0.0000
Li2 Li 0.9997 0.5000 0.1299
Li3 Li 0.0045 0.5000 0.3799
Li4 Li 0.0058 0.0000 0.4992
Li5 Li 0.0104 0.0000 0.2497
Li6 Li 0.0097 0.5000 0.6331
Li7 Li 0.0103 0.5000 0.8863
Li8 Li 0.0160 0.0000 0.7566
Li9 Li 0.2599 0.0000 0.9404
Mn1 Mn 0.2577 0.5000 0.5668
Mn2 Mn 0.2648 0.5000 0.8230
Co1 Co 0.2450 0.5000 0.0565
Co2 Co 0.2554 0.0000 0.4387
Co3 Co 0.2574 0.5000 0.3149
Co4 Co 0.2592 0.0000 0.1898
Co5 Co 0.2660 0.0000 0.6953
O1 O 0.1328 0.5000 0.9792
O2 O 0.1359 0.5000 0.4684
O3 O 0.1394 0.5000 0.2196
O4 O 0.1481 0.0000 0.5998
O5 O 0.1491 0.0000 0.3449
O6 O 0.1502 0.0000 0.8451
O7 O 0.1518 0.0000 0.0967
O8 O 0.1528 0.5000 0.7280
O9 O 0.3644 0.0000 0.0393
O10 O 0.3661 0.0000 0.2860
O11 O 0.3688 0.0000 0.5361
O12 O 0.3723 0.0000 0.7890
O13 O 0.3749 0.5000 0.9026
O14 O 0.3760 0.5000 0.4110
O15 O 0.3766 0.5000 0.1621
O16 O 0.3821 0.5000 0.6667
# Crystal system: monoclinic
# E_tot in eV per formula unit: -185.53
# Magnetization in μB/atom: 0.313
# Energy of formation from the pure elements in eV/atom: -1.807

***

3.
# NaLiCeWO6, optimized geometry, DFT PBE+U
data_NaLiCeWO6
_chemical_formula_sum 'Na4 Li4 Ce4 W4 O24'
_cell_length_a 8.3429
_cell_length_b 8.3429
_cell_length_c 8.3429
_cell_angle_alpha 90.00
_cell_angle_beta 90.00
_cell_angle_gamma 90.00
_symmetry_space_group_name_H-M 'F -4 3 m'
_symmetry_Int_Tables_number 216
_symmetry_space_group_name_Hall 'F -4 2 3'
loop_
_atom_site_label
_atom_site_type_symbol
_atom_site_fract_x
_atom_site_fract_y
_atom_site_fract_z
Na1 Na 0.0000 0.0000 0.0000
Li1 Li 0.0000 0.0000 0.5000
Ce1 Ce 0.2500 0.2500 0.2500
W1 W 0.2500 0.2500 0.7500
O1 O 0.0168 0.2500 0.7500
# Crystal system: cubic
# E_tot in eV per formula unit: -69.22
# Magnetization in μB/atom: 0.000
# Energy of formation from the pure elements in eV/atom: -2.597

***

4.
# Fe3MoC11SeS3O11, optimized geometry, DFT PBE+U
data_Fe3MoC11SeS3O11
_chemical_formula_sum 'Fe12 Mo4 C44 Se4 S12 O44'
_cell_length_a 10.9693
_cell_length_b 17.5962
_cell_length_c 13.2463
_cell_angle_alpha 90.00
_cell_angle_beta 122.74
_cell_angle_gamma 90.00
_symmetry_space_group_name_H-M 'P 1 21/c 1'
_symmetry_Int_Tables_number 14
loop_
_symmetry_equiv_pos_as_xyz
'x,y,z'
'-x,-y,-z'
'-x,y+1/2,-z+1/2'
'x,-y+1/2,z+1/2'
loop_
_atom_site_label
_atom_site_type_symbol
_atom_site_fract_x
_atom_site_fract_y
_atom_site_fract_z
Fe1 Fe 0.0106 0.2292 0.4015
Fe2 Fe 0.1377 0.0718 0.3331
Fe3 Fe 0.4724 0.1345 0.8076
Mo1 Mo 0.2623 0.1458 0.5546
C1 C 0.0176 0.5668 0.3151
C2 C 0.0549 0.1715 0.9116
C3 C 0.0558 0.7437 0.0022
C4 C 0.1511 0.5266 0.8767
C5 C 0.1600 0.7324 0.2379
C6 C 0.2693 0.0613 0.2922
C7 C 0.3443 0.2478 0.0973
C8 C 0.3657 0.6148 0.6887
C9 C 0.4333 0.1117 0.5465
C10 C 0.4668 0.5997 0.5451
C11 C 0.4793 0.7313 0.6475
Se1 Se 0.2195 0.1356 0.7304
S1 S 0.0132 0.1005 0.4212
S2 S 0.1723 0.1987 0.3522
S3 S 0.3183 0.0384 0.6968
O1 O 0.0832 0.1075 0.9183
O2 O 0.0998 0.7445 0.4416
O3 O 0.1190 0.5648 0.4121
O4 O 0.1553 0.5898 0.9026
O5 O 0.2577 0.6039 0.6828
O6 O 0.2742 0.7340 0.3254
O7 O 0.3516 0.0570 0.2633
O8 O 0.3883 0.1858 0.1136
O9 O 0.4274 0.5780 0.4497
O10 O 0.4450 0.7066 0.1157
O11 O 0.4662 0.5923 0.9548
# Crystal system: monoclinic
# E_tot in eV per formula unit: -206.16
# Magnetization in μB/atom: 0.000
# Energy of formation from the pure elements in eV/atom: -0.570

***

5.
# Li2CrP2O7, optimized geometry, DFT PBE+U
data_Li2CrP2O7
_chemical_formula_sum 'Li8 Cr4 P8 O28'
_cell_length_a 5.1041
_cell_length_b 13.7093
_cell_length_c 9.1995
_cell_angle_alpha 90.00
_cell_angle_beta 120.20
_cell_angle_gamma 90.00
_symmetry_space_group_name_H-M 'P 1 21/c 1'
_symmetry_Int_Tables_number 14
loop_
_symmetry_equiv_pos_as_xyz
'x,y,z'
'-x,-y,-z'
'-x,y+1/2,-z+1/2'
'x,-y+1/2,z+1/2'
loop_
_atom_site_label
_atom_site_type_symbol
_atom_site_fract_x
_atom_site_fract_y
_atom_site_fract_z
Li1 Li 0.0504 0.1006 0.3587
Li2 Li 0.4313 0.1975 0.1710
Cr1 Cr 0.0288 0.1532 0.7413
P1 P 0.2613 0.6734 0.5300
P2 P 0.4881 0.5249 0.7763
O1 O 0.0123 0.1829 0.1473
O2 O 0.2027 0.7214 0.6633
O3 O 0.2421 0.5305 0.8268
O4 O 0.2575 0.1019 0.6277
O5 O 0.3124 0.5583 0.5767
O6 O 0.3878 0.5755 0.2189
O7 O 0.4405 0.2107 0.9534
# Crystal system: monoclinic
# E_tot in eV per formula unit: -83.60
# Magnetization in μB/atom: 0.333
# Energy of formation from the pure elements in eV/atom: -2.623

***

6.
# SrFeBi2O5, optimized geometry, DFT PBE+U
data_SrFeBi2O5
_chemical_formula_sum 'Sr2 Fe2 Bi4 O10'
_cell_length_a 3.8633
_cell_length_b 3.8633
_cell_length_c 17.9788
_cell_angle_alpha 90.00
_cell_angle_beta 90.00
_cell_angle_gamma 90.00
_symmetry_space_group_name_H-M 'P 4/m m m'
_symmetry_Int_Tables_number 123
_symmetry_space_group_name_Hall '-P 4 2'
loop_
_atom_site_label
_atom_site_type_symbol
_atom_site_fract_x
_atom_site_fract_y
_atom_site_fract_z
Sr1 Sr 0.0000 0.0000 0.2094
Fe1 Fe 0.5000 0.5000 0.1110
Bi1 Bi 0.0000 0.0000 0.0000
Bi2 Bi 0.0000 0.0000 0.5000
Bi3 Bi 0.5000 0.5000 0.3582
O1 O 0.0000 0.0000 0.3609
O2 O 0.0000 0.5000 0.1107
O3 O 0.5000 0.5000 0.0000
O4 O 0.5000 0.5000 0.2346
O5 O 0.5000 0.5000 0.5000
# Crystal system: tetragonal
# E_tot in eV per formula unit: -52.76
# Magnetization in μB/atom: 0.559
# Energy of formation from the pure elements in eV/atom: -1.752

***

7.
# Cs2FeH12S2O14, optimized geometry, DFT PBE+U
data_Cs2FeH12S2O14
_chemical_formula_sum 'Cs4 Fe2 H24 S4 O28'
_cell_length_a 6.4650
_cell_length_b 13.0145
_cell_length_c 9.4032
_cell_angle_alpha 90.00
_cell_angle_beta 106.20
_cell_angle_gamma 90.00
_symmetry_space_group_name_H-M 'P 1 21/c 1'
_symmetry_Int_Tables_number 14
loop_
_symmetry_equiv_pos_as_xyz
'x,y,z'
'-x,-y,-z'
'-x,y+1/2,-z+1/2'
'x,-y+1/2,z+1/2'
loop_
_atom_site_label
_atom_site_type_symbol
_atom_site_fract_x
_atom_site_fract_y
_atom_site_fract_z
Cs1 Cs 0.1476 0.1432 0.3727
Fe1 Fe 0.5000 0.0000 0.0000
H1 H 0.1660 0.5656 0.6008
H2 H 0.1747 0.1011 0.7857
H3 H 0.1874 0.6414 0.4748
H4 H 0.4067 0.1305 0.7615
H5 H 0.4260 0.5991 0.2189
H6 H 0.4810 0.6851 0.3427
S1 S 0.2408 0.6475 0.8949
O1 O 0.1058 0.5844 0.7689
O2 O 0.1118 0.7386 0.9153
O3 O 0.2059 0.5680 0.5061
O4 O 0.2972 0.5830 0.0307
O5 O 0.3301 0.1130 0.8361
O6 O 0.4414 0.6827 0.8584
O7 O 0.4925 0.1116 0.1761
# Crystal system: monoclinic
# E_tot in eV per formula unit: -167.01
# Magnetization in μB/atom: 0.129
# Energy of formation from the pure elements in eV/atom: -1.625

***

8.
# Mg6NbCrO8, optimized geometry, DFT PBE+U
data_Mg6NbCrO8
_chemical_formula_sum 'Mg6 Nb1 Cr1 O8'
_cell_length_a 4.2931
_cell_length_b 4.2931
_cell_length_c 8.8948
_cell_angle_alpha 90.00
_cell_angle_beta 90.00
_cell_angle_gamma 90.00
_symmetry_space_group_name_H-M 'P 4/m m m'
_symmetry_Int_Tables_number 123
_symmetry_space_group_name_Hall '-P 4 2'
loop_
_atom_site_label
_atom_site_type_symbol
_atom_site_fract_x
_atom_site_fract_y
_atom_site_fract_z
Mg1 Mg 0.0000 0.0000 0.0000
Mg2 Mg 0.0000 0.5000 0.2398
Mg3 Mg 0.5000 0.5000 0.0000
Nb1 Nb 0.0000 0.0000 0.5000
Cr1 Cr 0.5000 0.5000 0.5000
O1 O 0.0000 0.0000 0.2393
O2 O 0.0000 0.5000 0.0000
O3 O 0.0000 0.5000 0.5000
O4 O 0.5000 0.5000 0.2335
# Crystal system: tetragonal
# E_tot in eV per formula unit: -103.17
# Magnetization in μB/atom: 0.187
# Energy of formation from the pure elements in eV/atom: -2.608

***

9.
# Li7Si2Ni3O12, optimized geometry, DFT PBE+U
data_Li7Si2Ni3O12
_chemical_formula_sum 'Li14 Si4 Ni6 O24'
_cell_length_a 4.8750
_cell_length_b 8.4822
_cell_length_c 9.7409
_cell_angle_alpha 90.00
_cell_angle_beta 100.00
_cell_angle_gamma 90.00
_symmetry_space_group_name_H-M 'C 1 2/m 1'
_symmetry_Int_Tables_number 12
loop_
_symmetry_equiv_pos_as_xyz
'x,y,z'
'-x,-y,-z'
'-x,y,-z'
'x,-y,z'
'x+1/2,y+1/2,z'
'-x+1/2,-y+1/2,-z'
'-x+1/2,y+1/2,-z'
'x+1/2,-y+1/2,z'
loop_
_atom_site_label
_atom_site_type_symbol
_atom_site_fract_x
_atom_site_fract_y
_atom_site_fract_z
Li1 Li 0.0000 0.0000 0.0000
Li2 Li 0.2422 0.0000 0.7533
Li3 Li 0.2421 0.1627 0.2461
Si1 Si 0.0000 0.3332 0.0000
Ni1 Ni 0.0000 0.1672 0.5000
Ni2 Ni 0.0000 0.5000 0.5000
O1 O 0.0920 0.5000 0.8957
O2 O 0.1164 0.0000 0.3815
O3 O 0.1456 0.3280 0.3865
O4 O 0.1502 0.1864 0.8959
# Crystal system: monoclinic
# E_tot in eV per formula unit: -136.09
# Magnetization in μB/atom: 0.125
# Energy of formation from the pure elements in eV/atom: -2.126

***

10.
# Zr3MnF6, optimized geometry, DFT PBE+U
data_Zr3MnF6
_chemical_formula_sum 'Zr3 Mn1 F6'
_cell_length_a 6.0855
_cell_length_b 6.1901
_cell_length_c 7.4025
_cell_angle_alpha 95.39
_cell_angle_beta 112.61
_cell_angle_gamma 114.98
_symmetry_space_group_name_H-M 'P -1'
_symmetry_Int_Tables_number 2
loop_
_symmetry_equiv_pos_as_xyz
'x,y,z'
'-x,-y,-z'
loop_
_atom_site_label
_atom_site_type_symbol
_atom_site_fract_x
_atom_site_fract_y
_atom_site_fract_z
Zr1 Zr 0.0000 0.0000 0.0000
Zr2 Zr 0.0000 0.5000 0.0000
Zr3 Zr 0.5000 0.0000 0.0000
Mn1 Mn 0.5000 0.0000 0.5000
F1 F 0.2051 0.0898 0.3129
F2 F 0.2381 0.6249 0.3096
F3 F 0.3206 0.9182 0.6873
# Crystal system: triclinic
# E_tot in eV per formula unit: -66.04
# Magnetization in μB/atom: 0.501
# Energy of formation from the pure elements in eV/atom: -2.418